*one*
K2SnO6 | PBE | relaxed

a b c (Å): 13.6197 3.2222 6.0516
angles (deg): 122.32 132.37 71.71
Last column: nearest neighbours and their distance in Å.
Element x y z (fractional)
K: 0.2611 0.0720 0.9137  5 O 2.66-2.89
K: 0.7389 0.9280 0.0863  5 O 2.66-2.89
Sn: 0.0000 0.0000 0.0000  6 O 2.10-2.20
O: 0.5432 0.0964 0.5224  1 O 1.30
O: 0.9450 0.3990 0.3290  1 O 1.39
O: 0.1348 0.5735 0.2549  2 Sn 2.10-2.12
O: 0.4568 0.9036 0.4776  1 O 1.30
O: 0.0550 0.6010 0.6710  1 O 1.39
O: 0.8652 0.4265 0.7451  2 Sn 2.10-2.12



*two*
K2SnO6 | PBE | relaxed

a b c (Å): 5.6773 5.6773 5.6773
angles (deg): 77.92 77.92 77.92
Last column: nearest neighbours and their distance in Å.
Element x y z (fractional)
K: 0.6858 0.6858 0.6858  6 O 2.80-2.83
K: 0.3142 0.3142 0.3142  6 O 2.80-2.83
Sn: 0.0000 0.0000 0.0000  6 O 2.05
O: 0.9088 0.6752 0.1979  1 Sn 2.05
O: 0.6752 0.1979 0.9088  1 Sn 2.05
O: 0.1979 0.9088 0.6752  1 Sn 2.05
O: 0.0912 0.3248 0.8021  1 Sn 2.05
O: 0.3248 0.8021 0.0912  1 Sn 2.05
O: 0.8021 0.0912 0.3248  1 Sn 2.05



Stability summary: most stable *one*, least stable *two*.



*one*
K2Sn2O3 | PBE | relaxed

a b c (Å): 5.9785 5.9785 5.9785
angles (deg): 61.80 61.80 61.80
Last column: nearest neighbours and their distance in Å.
Element x y z (fractional)
K: 0.5000 0.5000 0.5000  6 O 3.07
K: 0.0000 0.0000 0.0000  6 O 2.99
Sn: 0.2409 0.2409 0.2409  3 O 2.07
Sn: 0.7591 0.7591 0.7591  3 O 2.07
O: 0.0000 0.0000 0.5000  2 Sn 2.07
O: 0.0000 0.5000 0.0000  2 Sn 2.07
O: 0.5000 0.0000 0.0000  2 Sn 2.07



*two*
K2Sn2O3 | PBE | relaxed

a b c (Å): 7.3735 7.3735 7.3735
angles (deg): 109.47 109.47 109.47
Last column: nearest neighbours and their distance in Å.
Element x y z (fractional)
K: 0.5000 0.0000 0.4819  6 O 2.90-3.03
K: 0.0181 0.0181 0.0181  6 O 2.90-3.03
K: 0.4819 0.5000 0.0000  6 O 2.90-3.03
K: 0.0000 0.4819 0.5000  6 O 2.90-3.03
Sn: 0.0000 0.0116 0.5000  3 O 2.09
Sn: 0.0116 0.5000 0.0000  3 O 2.09
Sn: 0.4884 0.4884 0.4884  3 O 2.09
Sn: 0.5000 0.0000 0.0116  3 O 2.09
O: 0.9793 0.2293 0.7500  2 Sn 2.09
O: 0.5207 0.2707 0.2500  2 Sn 2.09
O: 0.2293 0.7500 0.9793  2 Sn 2.09
O: 0.7500 0.9793 0.2293  2 Sn 2.09
O: 0.2500 0.5207 0.2707  2 Sn 2.09
O: 0.2707 0.2500 0.5207  2 Sn 2.09

Its maximum piezoelectric response is 0.026 C/m2.



Stability summary: most stable *two*, least stable *one*.



*one*
K2U2O7 | PBE | relaxed

a b c (Å): 8.0628 6.9876 7.1853
angles (deg): 70.81 90.00 90.00
Last column: nearest neighbours and their distance in Å.
Element x y z (fractional)
K: 0.2575 0.0204 0.4940  6 O 2.71-2.83
K: 0.7575 0.9796 0.5060  6 O 2.71-2.83
K: 0.5005 0.4864 0.5034  6 O 2.71-2.86
K: 0.0005 0.5136 0.4966  6 O 2.71-2.86
U: 0.2593 0.5308 0.9949  2 O 1.88
U: 0.7593 0.4692 0.0051  2 O 1.88
U: 0.5012 0.9795 0.0040  2 O 1.89
U: 0.0012 0.0205 0.9960  2 O 1.89
O: 0.3994 0.2677 0.9985  2 U 2.15-2.16
O: 0.8994 0.7323 0.0015  2 U 2.15-2.16
O: 0.4996 0.8874 0.2826  1 U 1.89
O: 0.9996 0.1126 0.7174  1 U 1.89
O: 0.2463 0.4383 0.2722  1 U 1.88
O: 0.7463 0.5617 0.7278  1 U 1.88
O: 0.7578 0.3772 0.2824  1 U 1.88
O: 0.2578 0.6228 0.7176  1 U 1.88
O: 0.7448 0.1349 0.0128  3 U 2.23-2.32
O: 0.2448 0.8651 0.9872  3 U 2.23-2.32
O: 0.0238 0.3490 0.9883  3 U 2.28-2.31
O: 0.5238 0.6510 0.0117  3 U 2.28-2.31
O: 0.5136 0.0718 0.7255  1 U 1.89
O: 0.0136 0.9282 0.2745  1 U 1.89



*two*
K2U2O7 | PBE | relaxed

a b c (Å): 6.9465 7.1881 8.0122
angles (deg): 106.10 89.83 99.15
Last column: nearest neighbours and their distance in Å.
Element x y z (fractional)
K: 0.2429 0.4779 0.6206  6 O 2.70-2.97
K: 0.2625 0.4909 0.1222  6 O 2.66-2.87
K: 0.7571 0.5221 0.3794  6 O 2.70-2.97
K: 0.7375 0.5091 0.8778  6 O 2.66-2.87
U: 0.0299 0.9923 0.2467  2 O 1.87
U: 0.9701 0.0077 0.7533  2 O 1.87
U: 0.5000 0.0000 0.0000  2 O 1.90
U: 0.5000 0.0000 0.5000  2 O 1.90
O: 0.0609 0.2662 0.3144  1 U 1.87
O: 0.1911 0.0259 0.5564  2 U 2.21-2.22
O: 0.0120 0.2827 0.8223  1 U 1.87
O: 0.1914 0.0243 0.9574  2 U 2.21
O: 0.5579 0.2784 0.0886  1 U 1.90
O: 0.4421 0.7216 0.9114  1 U 1.90
O: 0.3658 0.9750 0.2435  3 U 2.20-2.36
O: 0.5589 0.2774 0.5497  1 U 1.90
O: 0.4411 0.7226 0.4503  1 U 1.90
O: 0.8089 0.9741 0.4436  2 U 2.21-2.22
O: 0.6342 0.0250 0.7565  3 U 2.20-2.36
O: 0.9391 0.7338 0.6856  1 U 1.87
O: 0.8086 0.9757 0.0426  2 U 2.21
O: 0.9880 0.7173 0.1777  1 U 1.87



Stability summary: most stable *one*, least stable *two*.



*one*
K2P3 | PBE | relaxed

a b c (Å): 8.6267 8.4243 6.4249
angles (deg): 69.55 66.20 44.25
Last column: nearest neighbours and their distance in Å.
Element x y z (fractional)
K: 0.7500 0.7500 0.7500  8 P 3.47-3.51
K: 0.2500 0.2500 0.2500  8 P 3.47-3.51
K: 0.2715 0.7285 0.2715  10 P 3.36-3.46
K: 0.7285 0.2715 0.7285  10 P 3.36-3.46
P: 0.1405 0.7091 0.8595  2 P 2.17
P: 0.2909 0.8595 0.7091  2 P 2.17
P: 0.8595 0.2909 0.1405  2 P 2.17
P: 0.7091 0.1405 0.2909  2 P 2.17
P: 0.8488 0.8488 0.1512  2 P 2.17
P: 0.1512 0.1512 0.8488  2 P 2.17



*two*
K2P3 | PBE | relaxed

a b c (Å): 12.0605 10.3558 8.5730
angles (deg): 78.54 57.30 44.16
Last column: nearest neighbours and their distance in Å.
Element x y z (fractional)
K: 0.8739 0.8813 0.6234  8 P 3.47-3.58
K: 0.6203 0.6313 0.8748  8 P 3.43-3.62
K: 0.1304 0.1393 0.8656  10 P 3.32-3.52
K: 0.8574 0.8651 0.1393  10 P 3.30-3.47
K: 0.3806 0.3885 0.1168  10 P 3.28-3.47
K: 0.6294 0.6238 0.3766  8 P 3.43-3.58
K: 0.3758 0.3736 0.6190  8 P 3.41-3.60
K: 0.1076 0.1198 0.3920  10 P 3.31-3.49
P: 0.3009 0.7041 0.8507  2 P 2.13-2.26
P: 0.3988 0.1063 0.3919  2 P 2.12-2.14
P: 0.1443 0.8507 0.1466  2 P 2.13-2.22
P: 0.5403 0.9553 0.1072  2 P 2.12-2.14
P: 0.8493 0.1520 0.8578  2 P 2.15-2.19
P: 0.1443 0.8484 0.7050  2 P 2.19-2.26
P: 0.1058 0.3985 0.5385  2 P 2.14-2.20
P: 0.1096 0.3938 0.0983  2 P 2.17-2.21
P: 0.8398 0.1521 0.3016  2 P 2.12-2.22
P: 0.9450 0.5468 0.4058  2 P 2.20-2.21
P: 0.7051 0.2946 0.1524  2 P 2.12-2.15
P: 0.4061 0.0971 0.9551  2 P 2.14-2.17



Stability summary: most stable *one*, least stable *two*.